LiSnP4O12 | PBE-GGA | relaxed

## Properties
- Calculated formation energy: -2476 meV per atom
- Electronic total energy: -493.1 eV for the cell shown
- Volume: 960.63 Å³ per cell
- Space-group type: P2_1 (4)

Unit cell a=10.596 b=9.271 c=9.784 alpha=88.31 beta=90.00 gamma=90.00
Element x y z (fractional)
Li  0.322  0.132  0.251
Li  0.676  0.635  0.247
Li  0.176  0.365  0.753
Li  0.822  0.868  0.749
Sn  0.801  0.264  0.728
Sn  0.697  0.244  0.230
Sn  0.197  0.756  0.770
Sn  0.301  0.736  0.272
P  0.019  0.764  0.485
P  0.100  0.272  0.448
P  0.403  0.264  0.949
P  0.613  0.052  0.949
P  0.387  0.948  0.546
P  0.605  0.479  0.954
P  0.897  0.480  0.447
P  0.903  0.736  0.051
P  0.480  0.757  0.984
P  0.105  0.521  0.046
P  0.887  0.052  0.454
P  0.519  0.236  0.515
P  0.600  0.728  0.552
P  0.397  0.520  0.553
P  0.980  0.243  0.016
P  0.113  0.948  0.051
O  0.877  0.437  0.596
O  0.036  0.095  0.073
O  0.533  0.575  0.603
O  0.897  0.766  0.901
O  0.272  0.937  0.638
O  0.480  0.744  0.140
O  0.702  0.430  0.853
O  0.632  0.071  0.101
O  0.967  0.578  0.084
O  0.132  0.547  0.894
O  0.772  0.063  0.362
O  0.202  0.570  0.147
O  0.132  0.929  0.899
O  0.481  0.829  0.602
O  0.646  0.264  0.578
O  0.584  0.649  0.925
O  0.518  0.167  0.884
O  0.467  0.422  0.916
O  0.397  0.234  0.099
O  0.354  0.738  0.918
O  0.367  0.942  0.392
O  0.793  0.447  0.346
O  0.867  0.058  0.608
O  0.961  0.907  0.418
O  0.377  0.563  0.404
O  0.018  0.770  0.640
O  0.146  0.736  0.422
O  0.293  0.553  0.654
O  0.981  0.171  0.398
O  0.917  0.651  0.434
O  0.980  0.256  0.860
O  0.227  0.949  0.144
O  0.084  0.351  0.075
O  0.791  0.746  0.141
O  0.207  0.242  0.356
O  0.110  0.267  0.599
O  0.461  0.093  0.582
O  0.707  0.758  0.644
O  0.536  0.905  0.927
O  0.854  0.262  0.082
O  0.018  0.833  0.116
O  0.291  0.254  0.859
O  0.417  0.349  0.566
O  0.518  0.230  0.360
O  0.632  0.453  0.106
O  0.727  0.051  0.856
O  0.610  0.733  0.401
O  0.033  0.425  0.397



CaTm2O4 | PBE-GGA | relaxed

## Properties
- Calculated formation energy: -3808 meV per atom
- Electronic total energy: -109.3 eV for the cell shown
- Volume: 193.44 Å³ per cell
- Space-group type: Cmcm (63)

Unit cell a=5.688 b=5.688 c=10.843 alpha=90.00 beta=90.00 gamma=146.53
Element x y z (fractional)
Ca  0.889  0.111  0.250
Ca  0.111  0.889  0.750
Tm  0.633  0.367  0.426
Tm  0.633  0.367  0.074
Tm  0.367  0.633  0.574
Tm  0.367  0.633  0.926
O  0.000  0.000  0.000
O  0.000  0.000  0.500
O  0.536  0.464  0.250
O  0.735  0.265  0.612
O  0.735  0.265  0.888
O  0.464  0.536  0.750
O  0.265  0.735  0.388
O  0.265  0.735  0.112



Rb2MnBr4 | PBE-GGA | relaxed

## Properties
- Calculated formation energy: -1662 meV per atom
- Electronic total energy: -27.2 eV for the cell shown
- Volume: 250.68 Å³ per cell
- Space-group type: I4/mmm (139)

Unit cell a=9.382 b=9.382 c=9.382 alpha=146.49 beta=146.49 gamma=48.12
Element x y z (fractional)
Rb  0.360  0.360  0.000
Rb  0.640  0.640  0.000
Mn  0.000  0.000  0.000
Br  0.157  0.157  0.000
Br  0.500  0.000  0.500
Br  0.843  0.843  0.000
Br  0.000  0.500  0.500